(1)
Here is an optimized crystal structure of MnFe2O3 from Materials Project. Energies are from PBE+U.

Lattice parameters (Å, degrees): 5.4767 5.4767 5.4767 145.90 134.03 58.46
With the nearest neighbours (Å) after each atom.
Element x y z (fractional)
Mn (0.0000, 0.0000, 0.0000)  6 O 2.14-2.28
Fe (0.3340, 0.3340, 0.0000)  6 O 2.14-2.26
Fe (0.6660, 0.6660, 0.0000)  6 O 2.14-2.26
O (0.1692, 0.6692, 0.5000)  4 Fe 2.14-2.25, 2 Mn 2.28
O (0.5000, 0.0000, 0.5000)  2 Mn 2.14, 4 Fe 2.26
O (0.8308, 0.3308, 0.5000)  4 Fe 2.14-2.25, 2 Mn 2.28

Values from the calculation:
Formation energy ... -1.334 eV/atom
Polymorph energy (0 for the lowest one) ... 0.280 eV/atom
Space group ... No. 71
Total DFT energy (no corrections) ... -6.785 eV per atom
Total magnetic moment ... 13.0 μB/f.u.


(2)
Here is an optimized crystal structure of Ba2MgCoWO6 from Materials Project. Energies are from PBE+U.

Lattice parameters (Å, degrees): 5.9287 5.9295 6.4772 63.11 63.01 61.16
With the nearest neighbours (Å) after each atom.
Element x y z (fractional)
Ba (0.0000, 0.0000, 0.0000)  6 O 2.77-3.09
Ba (0.4399, 0.4385, 0.6263)  5 O 2.74-2.84, 1 Co 3.04
Mg (0.7699, 0.7689, 0.6214)  3 O 1.94-1.95
Co (0.6543, 0.6527, 0.0772)  3 O 1.90-1.94
W (0.2180, 0.2161, 0.3163)  6 O 1.93-2.08
O (0.0281, 0.4802, 0.0492)  1 Co 1.90, 1 W 2.08
O (0.4164, 0.9461, 0.5748)  1 Mg 1.94, 1 W 2.07
O (0.4375, 0.4344, 0.1906)  1 W 1.93, 1 Co 1.94
O (0.4835, 0.0264, 0.0484)  1 Co 1.90, 1 W 2.08
O (0.9473, 0.4152, 0.5746)  1 Mg 1.94, 1 W 2.07
O (0.9948, 0.9927, 0.4440)  1 Mg 1.95, 1 W 1.97

Values from the calculation:
Formation energy ... -2.359 eV/atom
Polymorph energy (0 for the lowest one) ... 0.000 eV/atom
Space group ... No. 1
Total DFT energy (no corrections) ... -6.449 eV per atom
Total magnetic moment ... 3.0 μB/f.u.


(3)
Here is an optimized crystal structure of KNa7V8O24 from Materials Project. Energies are from PBE+U.

Lattice parameters (Å, degrees): 5.9552 9.8324 10.6925 90.00 104.54 90.00
With the nearest neighbours (Å) after each atom.
Element x y z (fractional)
K (0.0000, 0.0000, 0.0000)  6 O 2.63-2.75
Na (0.0000, 0.2898, 0.5000)  6 O 2.39-2.45
Na (0.0000, 0.6085, 0.0000)  6 O 2.38-2.44
Na (0.0000, 0.9079, 0.5000)  6 O 2.48-2.78
Na (0.5000, 0.1091, 0.5000)  6 O 2.39-2.46
Na (0.5000, 0.4080, 0.0000)  6 O 2.49-2.78
Na (0.5000, 0.4911, 0.5000)  6 O 2.48-2.77
Na (0.5000, 0.7888, 0.0000)  6 O 2.40-2.46
V (0.2127, 0.2890, 0.2103)  4 O 1.67-1.84
V (0.2133, 0.6106, 0.7096)  4 O 1.67-1.83
V (0.2883, 0.7867, 0.2923)  4 O 1.67-1.83
V (0.2890, 0.1119, 0.7883)  4 O 1.67-1.83
V (0.7110, 0.1119, 0.2117)  4 O 1.67-1.83
V (0.7117, 0.7867, 0.7077)  4 O 1.67-1.83
V (0.7873, 0.2890, 0.7897)  4 O 1.67-1.84
V (0.7867, 0.6106, 0.2904)  4 O 1.67-1.83
O (0.0723, 0.6897, 0.3500)  2 V 1.83
O (0.0750, 0.2111, 0.8466)  2 V 1.83-1.84
O (0.2129, 0.1008, 0.6257)  1 V 1.69
O (0.2134, 0.4423, 0.1438)  1 V 1.67
O (0.2135, 0.4567, 0.6437)  1 V 1.67
O (0.2192, 0.7915, 0.1299)  1 V 1.68
O (0.2859, 0.9424, 0.3553)  1 V 1.67
O (0.2868, 0.6003, 0.8725)  1 V 1.69
O (0.2877, 0.2992, 0.3731)  1 V 1.69
O (0.2938, 0.9572, 0.8526)  1 V 1.67
O (0.4254, 0.1907, 0.1508)  2 V 1.83
O (0.4256, 0.7086, 0.6493)  2 V 1.83
O (0.5744, 0.7086, 0.3507)  2 V 1.83
O (0.5746, 0.1907, 0.8492)  2 V 1.83
O (0.7062, 0.9572, 0.1474)  1 V 1.67
O (0.7123, 0.2992, 0.6269)  1 V 1.69
O (0.7132, 0.6003, 0.1275)  1 V 1.69
O (0.7141, 0.9424, 0.6447)  1 V 1.67
O (0.7808, 0.7915, 0.8701)  1 V 1.68
O (0.7871, 0.1008, 0.3743)  1 V 1.69
O (0.7866, 0.4423, 0.8562)  1 V 1.67
O (0.7865, 0.4567, 0.3563)  1 V 1.67
O (0.9250, 0.2111, 0.1534)  2 V 1.83-1.84
O (0.9277, 0.6897, 0.6500)  2 V 1.83

Values from the calculation:
Formation energy ... -2.380 eV/atom
Polymorph energy (0 for the lowest one) ... 0.000 eV/atom
Space group ... No. 3
Total DFT energy (no corrections) ... -6.672 eV per atom
Total magnetic moment ... 0.0 μB/f.u.


Q: Look up the formation energy of the first one.
A: -1.334 eV/atom